(1)
VASP calculation (PBE+U) on a relaxed structure of Li7Mn4CoO12.

Results
The mass density is 4.03 g/cm3. The calculated volume is 428 Å³/cell. The value obtained for the formation energy is -2.064 eV per atom.

Lattice parameters (Å, degrees): 5.9342 6.4204 11.9123 102.98 93.15 103.03
Sites, in units of the cell vectors:
1 Li 0.0000 0.0000 0.0000
2 Li 0.0000 0.0000 0.5000
3 Li 0.0006 0.9999 0.2506
4 Li 0.3317 0.3188 0.6660
5 Li 0.3334 0.3186 0.1662
6 Li 0.3466 0.3208 0.9053
7 Li 0.3482 0.3209 0.4053
8 Li 0.4992 0.0003 0.7501
9 Li 0.5008 0.9997 0.2499
10 Li 0.6518 0.6791 0.5947
11 Li 0.6534 0.6792 0.0947
12 Li 0.6666 0.6814 0.8338
13 Li 0.6683 0.6812 0.3340
14 Li 0.9994 0.0001 0.7494
15 Mn 0.1731 0.6738 0.5840
16 Mn 0.1736 0.6739 0.0840
17 Mn 0.1766 0.6723 0.8313
18 Mn 0.1778 0.6720 0.3311
19 Mn 0.8222 0.3280 0.6689
20 Mn 0.8234 0.3277 0.1687
21 Mn 0.8264 0.3261 0.9160
22 Mn 0.8269 0.3262 0.4160
23 Co 0.5000 0.0000 0.0000
24 Co 0.5000 0.0000 0.5000
25 O 0.0500 0.3472 0.5512
26 O 0.0505 0.3472 0.0509
27 O 0.0795 0.3434 0.7843
28 O 0.0808 0.3430 0.2843
29 O 0.2553 0.9837 0.3781
30 O 0.2547 0.9840 0.8782
31 O 0.2670 0.9842 0.6113
32 O 0.2678 0.9840 0.1114
33 O 0.3848 0.6664 0.7129
34 O 0.3860 0.6661 0.2128
35 O 0.4175 0.6758 0.4485
36 O 0.4165 0.6759 0.9483
37 O 0.5835 0.3241 0.0517
38 O 0.5825 0.3242 0.5515
39 O 0.6140 0.3339 0.7872
40 O 0.6152 0.3336 0.2871
41 O 0.7322 0.0160 0.8886
42 O 0.7330 0.0158 0.3887
43 O 0.7453 0.0160 0.1218
44 O 0.7447 0.0163 0.6219
45 O 0.9192 0.6570 0.7157
46 O 0.9205 0.6566 0.2157
47 O 0.9495 0.6528 0.9491
48 O 0.9500 0.6528 0.4488

(2)
VASP calculation (PBE+U) on a relaxed structure of Li4MnCo2O7.

Results
The mass density is 4.18 g/cm3. The calculated volume is 248 Å³/cell. The value obtained for the formation energy is -1.869 eV per atom.

Lattice parameters (Å, degrees): 5.1500 7.6583 7.6751 118.69 103.65 96.86
Sites, in units of the cell vectors:
1 Li 0.0000 0.0000 0.0000
2 Li 0.0014 0.2703 0.8529
3 Li 0.0009 0.7094 0.1409
4 Li 0.0038 0.1288 0.4178
5 Li 0.0052 0.5642 0.7075
6 Li 0.0087 0.8582 0.5729
7 Li 0.5050 0.1345 0.9232
8 Li 0.9929 0.4114 0.2677
9 Mn 0.5041 0.4181 0.7808
10 Mn 0.5041 0.7080 0.6384
11 Co 0.4917 0.9932 0.4970
12 Co 0.5021 0.2709 0.3396
13 Co 0.5064 0.8504 0.0645
14 Co 0.5069 0.5570 0.2048
15 O 0.2614 0.9902 0.2521
16 O 0.2661 0.7071 0.4019
17 O 0.2675 0.2920 0.1203
18 O 0.2691 0.1531 0.6760
19 O 0.2796 0.4340 0.5451
20 O 0.2902 0.5648 0.9517
21 O 0.2934 0.8392 0.8168
22 O 0.7163 0.8396 0.3014
23 O 0.7196 0.2832 0.6047
24 O 0.7265 0.5683 0.4633
25 O 0.7312 0.1243 0.1792
26 O 0.7310 0.9719 0.7217
27 O 0.7367 0.4272 0.0205
28 O 0.7371 0.6903 0.8650

(3)
VASP calculation (PBE+U) on a relaxed structure of Li4MnCo2O7.

Results
The mass density is 4.19 g/cm3. The calculated volume is 247 Å³/cell. The value obtained for the formation energy is -1.844 eV per atom.

Lattice parameters (Å, degrees): 10.2443 10.2443 5.1863 95.54 95.54 150.56
Sites, in units of the cell vectors:
1 Li 0.0004 0.9996 0.0000
2 Li 0.0713 0.9287 0.5000
3 Li 0.2147 0.7853 0.5000
4 Li 0.3601 0.6399 0.5000
5 Li 0.5000 0.5000 0.5000
6 Li 0.6439 0.3561 0.5000
7 Li 0.7860 0.2140 0.5000
8 Li 0.9310 0.0690 0.5000
9 Mn 0.2873 0.7127 0.0000
10 Mn 0.5724 0.4276 0.0000
11 Co 0.1433 0.8567 0.0000
12 Co 0.4295 0.5705 0.0000
13 Co 0.7153 0.2847 0.0000
14 Co 0.8601 0.1399 0.0000
15 O 0.0066 0.4339 0.2279
16 O 0.1381 0.4156 0.7665
17 O 0.1798 0.3291 0.2092
18 O 0.2833 0.2830 0.7667
19 O 0.3323 0.1799 0.2114
20 O 0.4148 0.1279 0.7672
21 O 0.4450 0.0147 0.2282
22 O 0.5661 0.9934 0.7721
23 O 0.5844 0.8619 0.2335
24 O 0.6709 0.8202 0.7908
25 O 0.7170 0.7167 0.2333
26 O 0.8201 0.6677 0.7886
27 O 0.8721 0.5852 0.2328
28 O 0.9853 0.5550 0.7718

(4)
VASP calculation (PBE+U) on a relaxed structure of Li3MnCoO5.

Results
The mass density is 3.96 g/cm3. The calculated volume is 180 Å³/cell. The value obtained for the formation energy is -1.891 eV per atom.

Lattice parameters (Å, degrees): 2.9533 7.7814 8.2019 104.97 90.43 98.02
Sites, in units of the cell vectors:
1 Li 0.0000 0.0000 0.0000
2 Li 0.0143 0.0116 0.5124
3 Li 0.1781 0.3878 0.6026
4 Li 0.3871 0.8019 0.2183
5 Li 0.5839 0.1941 0.7889
6 Li 0.8130 0.6072 0.4135
7 Mn 0.5882 0.1949 0.3131
8 Mn 0.7883 0.6028 0.9013
9 Co 0.1812 0.3964 0.1002
10 Co 0.4091 0.8088 0.6942
11 O 0.0211 0.0224 0.2595
12 O 0.0246 0.9843 0.7510
13 O 0.1496 0.4064 0.8610
14 O 0.1577 0.3743 0.3436
15 O 0.3913 0.7935 0.4769
16 O 0.4225 0.7961 0.9350
17 O 0.5874 0.2144 0.0707
18 O 0.5964 0.2017 0.5377
19 O 0.7764 0.6145 0.6654
20 O 0.7886 0.5926 0.1448

(5)
VASP calculation (PBE+U) on a relaxed structure of Li7Mn2Co3O12.

Results
The mass density is 4.08 g/cm3. The calculated volume is 215 Å³/cell. The value obtained for the formation energy is -1.838 eV per atom.

Lattice parameters (Å, degrees): 5.1136 2.9214 14.3630 90.00 91.10 90.00
Sites, in units of the cell vectors:
1 Li 0.0000 0.0000 0.0000
2 Li 0.0000 0.0000 0.5000
3 Li 0.1513 0.5000 0.1538
4 Li 0.3403 0.0000 0.8451
5 Li 0.5000 0.5000 0.5000
6 Li 0.6597 0.0000 0.1549
7 Li 0.8487 0.5000 0.8462
8 Mn 0.3291 0.0000 0.3319
9 Mn 0.6709 0.0000 0.6681
10 Co 0.1707 0.5000 0.6699
11 Co 0.5000 0.5000 0.0000
12 Co 0.8293 0.5000 0.3301
13 O 0.0136 0.0000 0.2566
14 O 0.1882 0.5000 0.4096
15 O 0.2118 0.5000 0.9255
16 O 0.3454 0.0000 0.0738
17 O 0.3504 0.0000 0.5934
18 O 0.4651 0.5000 0.2573
19 O 0.5349 0.5000 0.7427
20 O 0.6496 0.0000 0.4066
21 O 0.6546 0.0000 0.9262
22 O 0.7882 0.5000 0.0745
23 O 0.8118 0.5000 0.5904
24 O 0.9864 0.0000 0.7434

(6)
VASP calculation (PBE+U) on a relaxed structure of Li2MnCoO4.

Results
The mass density is 4.29 g/cm3. The calculated volume is 148 Å³/cell. The value obtained for the formation energy is -1.875 eV per atom.

Lattice parameters (Å, degrees): 5.2743 2.8763 9.8694 90.00 97.97 90.00
Sites, in units of the cell vectors:
1 Li 0.1260 0.2500 0.1222
2 Li 0.3737 0.7500 0.3713
3 Li 0.6263 0.2500 0.6287
4 Li 0.8740 0.7500 0.8778
5 Mn 0.1372 0.7500 0.6297
6 Mn 0.8628 0.2500 0.3703
7 Co 0.3867 0.2500 0.8790
8 Co 0.6133 0.7500 0.1210
9 O 0.0225 0.2500 0.7419
10 O 0.2363 0.2500 0.5119
11 O 0.2636 0.7500 0.9976
12 O 0.4982 0.7500 0.7546
13 O 0.5018 0.2500 0.2454
14 O 0.7364 0.2500 0.0024
15 O 0.7637 0.7500 0.4881
16 O 0.9775 0.7500 0.2581

(7)
VASP calculation (PBE+U) on a relaxed structure of Li3MnCoO5.

Results
The mass density is 4.02 g/cm3. The calculated volume is 177 Å³/cell. The value obtained for the formation energy is -1.957 eV per atom.

Lattice parameters (Å, degrees): 7.6707 7.6707 5.1421 96.76 96.76 141.21
Sites, in units of the cell vectors:
1 Li 0.0000 0.0000 0.0000
2 Li 0.0973 0.9027 0.5000
3 Li 0.3007 0.6993 0.5000
4 Li 0.4989 0.5011 0.5000
5 Li 0.6985 0.3015 0.5000
6 Li 0.9044 0.0956 0.5000
7 Mn 0.6008 0.3992 0.0000
8 Mn 0.8018 0.1982 0.0000
9 Co 0.1981 0.8019 0.0000
10 Co 0.4045 0.5955 0.0000
11 O 0.0489 0.4526 0.7881
12 O 0.1326 0.3506 0.2327
13 O 0.2839 0.2751 0.7642
14 O 0.3580 0.1456 0.2133
15 O 0.4730 0.0740 0.7675
16 O 0.5474 0.9511 0.2119
17 O 0.6494 0.8674 0.7673
18 O 0.7249 0.7161 0.2358
19 O 0.8544 0.6420 0.7867
20 O 0.9260 0.5270 0.2325

(8)
VASP calculation (PBE+U) on a relaxed structure of Li7Mn2Co3O12.

Results
The mass density is 4.06 g/cm3. The calculated volume is 216 Å³/cell. The value obtained for the formation energy is -1.858 eV per atom.

Lattice parameters (Å, degrees): 2.9775 6.4403 11.9482 102.91 93.68 103.35
Sites, in units of the cell vectors:
1 Li 0.0000 0.0000 0.0000
2 Li 0.0065 0.0042 0.7461
3 Li 0.0204 0.0058 0.2376
4 Li 0.3447 0.6757 0.5811
5 Li 0.3547 0.6889 0.0778
6 Li 0.6735 0.3365 0.4176
7 Li 0.6859 0.3369 0.9104
8 Mn 0.3581 0.6797 0.3294
9 Mn 0.6800 0.3301 0.1564
10 Co 0.0164 0.0115 0.4985
11 Co 0.3465 0.6864 0.8353
12 Co 0.6818 0.3440 0.6636
13 O 0.1549 0.3398 0.0526
14 O 0.1643 0.3638 0.7840
15 O 0.1998 0.3279 0.5423
16 O 0.2125 0.3520 0.2740
17 O 0.4955 0.0274 0.6180
18 O 0.5000 0.9730 0.8620
19 O 0.5167 0.0290 0.1254
20 O 0.5419 0.0024 0.3796
21 O 0.8114 0.6686 0.9421
22 O 0.8308 0.6893 0.4541
23 O 0.8632 0.6563 0.7089
24 O 0.8762 0.6614 0.2073